Entry 1:
Here is an optimized crystal structure of K3Hg3S2Br5O6 from Materials Project. Energies are from GGA-PBE.

Cell and atoms, written as POSCAR:
```
K3Hg3S2Br5O6
1.0
23.017 0.000 0.000
0.000 6.315 0.000
0.000 0.000 12.910
K Hg S Br O
12 12 8 20 24
Cartesian
0.112 1.579 1.636 K
0.226 4.736 4.730 K
2.705 4.736 8.164 K
8.803 1.579 1.709 K
11.282 1.579 11.185 K
11.397 4.736 8.091 K
11.621 1.579 4.819 K
11.735 4.736 1.725 K
14.214 4.736 11.202 K
20.312 1.579 4.746 K
22.791 1.579 8.180 K
22.905 4.736 11.274 K
4.180 1.579 4.569 Hg
4.378 1.579 11.352 Hg
4.366 4.736 1.557 Hg
7.143 1.579 8.012 Hg
7.131 4.736 4.897 Hg
7.329 4.736 11.024 Hg
15.689 1.579 1.886 Hg
15.887 1.579 8.014 Hg
15.874 4.736 4.898 Hg
18.651 1.579 11.353 Hg
18.639 4.736 1.559 Hg
18.837 4.736 8.342 Hg
1.837 1.579 5.436 S
1.957 1.579 10.851 S
9.552 4.736 4.396 S
9.672 4.736 11.891 S
13.346 1.579 1.019 S
13.465 1.579 8.514 S
21.061 4.736 2.059 S
21.180 4.736 7.474 S
1.852 4.736 1.583 Br
4.289 1.579 1.663 Br
4.521 4.736 5.001 Br
4.622 1.579 8.060 Br
4.667 4.736 11.181 Br
6.841 1.579 4.726 Br
6.886 4.736 1.605 Br
6.988 1.579 11.456 Br
7.220 4.736 8.118 Br
9.656 1.579 8.038 Br
13.361 4.736 4.872 Br
15.797 1.579 4.792 Br
16.030 4.736 1.454 Br
16.131 1.579 11.306 Br
16.176 4.736 8.184 Br
18.350 1.579 1.729 Br
18.395 4.736 4.851 Br
18.496 1.579 7.909 Br
18.729 4.736 11.248 Br
21.165 1.579 11.328 Br
0.893 1.579 4.285 O
1.232 1.579 12.136 O
1.665 0.349 6.264 O
1.667 0.352 10.052 O
1.667 2.806 10.052 O
1.665 2.808 6.264 O
9.844 3.507 12.719 O
9.841 3.509 3.597 O
9.841 5.963 3.597 O
9.844 5.966 12.719 O
10.276 4.736 5.681 O
10.615 4.736 10.740 O
12.402 1.579 2.170 O
12.741 1.579 7.229 O
13.174 0.349 0.191 O
13.176 0.352 9.313 O
13.176 2.806 9.313 O
13.174 2.808 0.191 O
21.352 3.507 6.646 O
21.350 3.509 2.858 O
21.350 5.963 2.858 O
21.352 5.966 6.646 O
21.785 4.736 0.774 O
22.124 4.736 8.625 O
```

Output
As for the spin magnetization: 0.00 μB per atom. The symmetry is Pnma. The formation energy comes out at -1.409 eV/atom.


Entry 2:
Here is an optimized crystal structure of KSi2HO5 from Materials Project. Energies are from GGA-PBE.

Cell and atoms, written as POSCAR:
```
KSi2HO5
1.0
7.396 -4.237 0.000
7.396 4.237 0.000
-5.382 0.000 8.303
K Si H O
4 8 4 20
Cartesian
0.000 0.000 0.000 K
-2.691 0.000 4.151 K
-0.547 0.000 8.143 K
9.957 0.000 0.160 K
2.730 1.580 2.687 Si
2.213 1.587 5.833 Si
7.197 1.587 2.470 Si
2.730 -1.580 2.687 Si
6.680 1.580 5.615 Si
2.213 -1.587 5.833 Si
7.197 -1.587 2.470 Si
6.680 -1.580 5.615 Si
5.063 2.273 1.670 H
4.347 2.273 6.633 H
5.063 -2.273 1.670 H
4.347 -2.273 6.633 H
0.846 2.443 6.121 O
3.755 2.543 1.938 O
2.758 1.860 4.317 O
6.104 2.089 1.385 O
3.305 2.089 6.918 O
3.074 0.000 2.400 O
5.655 2.543 6.365 O
8.563 2.443 2.182 O
1.834 0.000 6.051 O
6.652 1.860 3.985 O
2.758 -1.860 4.317 O
7.575 0.000 2.252 O
0.846 -2.443 6.121 O
3.755 -2.543 1.938 O
6.336 0.000 5.903 O
6.104 -2.089 1.385 O
3.305 -2.089 6.918 O
6.652 -1.860 3.985 O
5.655 -2.543 6.365 O
8.563 -2.443 2.182 O
```

Output
As for the spin magnetization: 0.00 μB per atom. The symmetry is C2/m. The formation energy comes out at -2.787 eV/atom.


Entry 3:
Here is an optimized crystal structure of Lu2MgRu from Materials Project. Energies are from GGA-PBE.

Cell and atoms, written as POSCAR:
```
Lu2MgRu
1.0
0.000 3.479 3.479
3.479 0.000 3.479
3.479 3.479 0.000
Lu Mg Ru
2 1 1
Cartesian
1.740 1.740 1.740 Lu
5.219 5.219 5.219 Lu
0.000 0.000 0.000 Mg
3.479 3.479 3.479 Ru
```

Output
The symmetry is Fm-3m. The formation energy comes out at -0.261 eV/atom.


Entry 4:
Here is an optimized crystal structure of Ce3Ga from Materials Project. Energies are from GGA-PBE.

Cell and atoms, written as POSCAR:
```
Ce3Ga
1.0
4.653 0.000 0.000
0.000 4.653 0.000
0.000 0.000 4.653
Ce Ga
3 1
Cartesian
0.000 0.000 2.327 Ce
0.000 2.327 0.000 Ce
2.327 0.000 0.000 Ce
2.327 2.327 2.327 Ga
```

Output
The symmetry is Pm-3m. The formation energy comes out at -0.251 eV/atom.


Entry 5:
Here is an optimized crystal structure of Pb3Se2I2O6 from Materials Project. Energies are from GGA-PBE.

Cell and atoms, written as POSCAR:
```
Pb3Se2I2O6
1.0
6.858 -2.910 0.000
6.858 2.910 0.000
-0.879 0.000 14.609
Pb Se I O
6 4 4 12
Cartesian
6.199 2.514 10.957 Pb
3.900 0.108 2.249 Pb
3.461 -0.108 9.553 Pb
9.376 0.108 5.056 Pb
8.936 -0.108 12.361 Pb
6.638 -2.514 3.652 Pb
5.102 0.039 5.426 Se
4.663 -0.039 12.731 Se
8.174 0.039 1.879 Se
7.735 -0.039 9.183 Se
1.087 0.043 13.837 I
1.526 -0.043 6.532 I
11.310 0.043 8.077 I
11.750 -0.043 0.773 I
4.029 1.275 11.708 O
4.689 1.366 4.358 O
8.587 1.366 2.946 O
8.368 1.275 10.205 O
6.072 0.259 9.425 O
6.325 0.259 12.489 O
6.512 -0.259 2.120 O
6.764 -0.259 5.185 O
4.469 -1.275 4.404 O
4.250 -1.366 11.663 O
8.147 -1.366 10.251 O
8.807 -1.275 2.901 O
```

Output
As for the spin magnetization: 0.00 μB per atom. The symmetry is C2/c. The formation energy comes out at -1.278 eV/atom.


Entry 6:
Here is an optimized crystal structure of KHfCuS3 from Materials Project. Energies are from GGA-PBE.

Cell and atoms, written as POSCAR:
```
KHfCuS3
1.0
1.866 -7.151 0.000
1.866 7.151 0.000
0.000 0.000 9.762
K Hf Cu S
2 2 2 6
Cartesian
1.866 3.643 7.322 K
1.866 -3.643 2.441 K
1.866 0.000 0.000 Hf
1.866 0.000 4.881 Hf
1.866 6.657 2.441 Cu
1.866 -6.657 7.322 Cu
1.866 5.444 0.500 S
1.866 5.444 4.381 S
1.866 0.903 2.441 S
1.866 -0.903 7.322 S
1.866 -5.444 5.381 S
1.866 -5.444 9.262 S
```

Output
As for the spin magnetization: 0.00 μB per atom. The symmetry is Cmcm. The formation energy comes out at -1.526 eV/atom.


Entry 7:
Here is an optimized crystal structure of ThSiNi from Materials Project. Energies are from GGA-PBE.

Cell and atoms, written as POSCAR:
```
ThSiNi
1.0
-2.038 2.038 6.997
2.038 -2.038 6.997
2.038 2.038 -6.997
Th Si Ni
2 2 2
Cartesian
0.000 0.000 0.000 Th
0.000 2.038 3.498 Th
2.038 0.000 2.366 Si
0.000 0.000 5.865 Si
2.038 0.000 4.720 Ni
0.000 0.000 8.218 Ni
```

Output
The symmetry is I4_1md. The formation energy comes out at -0.825 eV/atom.


Entry 8:
Here is an optimized crystal structure of LiMg2 from Materials Project. Energies are from GGA-PBE.

Cell and atoms, written as POSCAR:
```
LiMg2
1.0
5.698 -1.597 0.000
5.698 1.597 0.000
-1.925 0.000 7.183
Li Mg
2 4
Cartesian
0.000 0.000 0.000 Li
6.953 0.000 2.395 Li
3.058 0.000 0.414 Mg
2.511 0.000 4.783 Mg
5.571 0.000 5.199 Mg
10.024 0.000 2.784 Mg
```

Output
The symmetry is Cm. The formation energy comes out at -0.023 eV/atom.


Entry 9:
Here is an optimized crystal structure of Nb7B6C3 from Materials Project. Energies are from GGA-PBE.

Cell and atoms, written as POSCAR:
```
Nb7B6C3
1.0
1.574 -16.688 0.000
1.574 16.688 0.000
0.000 0.000 3.263
Nb B C
7 6 3
Cartesian
0.000 0.000 0.000 Nb
1.574 12.330 0.000 Nb
1.574 6.993 0.000 Nb
1.574 2.241 1.632 Nb
1.574 -2.241 1.632 Nb
1.574 -6.993 0.000 Nb
1.574 -12.330 0.000 Nb
1.574 10.627 1.632 B
1.574 8.793 1.632 B
1.574 5.089 1.632 B
1.574 -5.089 1.632 B
1.574 -8.793 1.632 B
1.574 -10.627 1.632 B
1.574 14.482 0.000 C
1.574 0.000 1.632 C
1.574 -14.482 0.000 C
```

Output
As for the spin magnetization: 0.00 μB per atom. The symmetry is Cmmm. The formation energy comes out at -0.649 eV/atom.


Entry 10:
Here is an optimized crystal structure of Zn2PtO4 from Materials Project. Energies are from GGA-PBE.

Cell and atoms, written as POSCAR:
```
Zn2PtO4
1.0
-2.992 3.111 4.408
2.992 -3.111 4.408
2.992 3.111 -4.408
Zn Pt O
4 2 8
Cartesian
1.496 1.555 -2.204 Zn
1.496 -1.555 2.204 Zn
0.000 1.555 1.325 Zn
2.992 1.555 3.083 Zn
2.992 0.000 0.000 Pt
0.000 0.000 4.408 Pt
2.992 -0.119 2.049 O
2.992 2.992 -2.049 O
1.640 1.555 0.009 O
4.343 1.555 0.009 O
-1.352 1.555 4.399 O
1.352 1.555 4.399 O
0.000 0.119 6.457 O
0.000 3.230 2.360 O
```

Output
The symmetry is Imma. The formation energy comes out at -1.428 eV/atom.


Entry 11:
Here is an optimized crystal structure of Zn3Se from Materials Project. Energies are from GGA-PBE.

Cell and atoms, written as POSCAR:
```
Zn3Se
1.0
5.881 0.000 0.000
-2.940 5.093 0.000
0.000 0.000 4.785
Zn Se
6 2
Cartesian
0.000 1.625 1.196 Zn
-1.533 4.280 1.196 Zn
1.407 0.812 3.589 Zn
1.533 4.280 1.196 Zn
4.473 0.812 3.589 Zn
2.940 3.468 3.589 Zn
0.000 3.395 3.589 Se
2.940 1.698 1.196 Se
```

Output
For the relative energy among the computed polymorphs, the calculation gives 0.005 eV/atom. As for the spin magnetization: 0.00 μB per atom. The symmetry is P6_3/mmc. The formation energy comes out at 0.018 eV/atom.


Entry 12:
Here is an optimized crystal structure of TmTc2 from Materials Project. Energies are from GGA-PBE.

Cell and atoms, written as POSCAR:
```
TmTc2
1.0
5.339 0.000 0.000
-2.670 4.624 0.000
0.000 0.000 8.831
Tm Tc
4 8
Cartesian
0.000 3.082 0.563 Tm
0.000 3.082 3.852 Tm
2.670 1.541 4.978 Tm
2.670 1.541 8.268 Tm
0.000 0.000 0.000 Tc
0.000 0.000 4.415 Tc
0.000 1.593 6.623 Tc
-1.290 3.827 6.623 Tc
1.380 0.797 2.208 Tc
1.290 3.827 6.623 Tc
3.959 0.797 2.208 Tc
2.670 3.031 2.208 Tc
```

Output
The symmetry is P6_3/mmc. The formation energy comes out at -0.248 eV/atom.